# 1
Compound: Ru4CN4
Source: the Materials Project
Functional: PBE
Structure: relaxed

a b c (Å): 10.076 2.762 14.442
angles (deg): 90.00 90.00 90.00
Space group Pnma (No. 62)
Asymmetric unit:
Ru 0.056 0.250 0.116 x4
Ru 0.094 0.250 0.559 x4
Ru 0.141 0.750 0.346 x4
Ru 0.205 0.750 0.697 x4
C 0.153 0.250 0.997 x4
N 0.012 0.750 0.655 x4
N 0.074 0.250 0.921 x4
N 0.152 0.750 0.212 x4
N 0.215 0.750 0.484 x4

ρ = 7.8 Mg/m³
formation energy from the elements = 374 meV per atom

=====

# 2
Compound: RuC2N2
Source: the Materials Project
Functional: PBE
Structure: relaxed

a b c (Å): 6.719 6.719 2.903
angles (deg): 90.00 90.00 90.00
Space group P4_2/mnm (No. 136)
Asymmetric unit:
Ru 0.000 0.000 0.000 x2
C 0.210 0.210 0.000 x4
N 0.165 0.835 0.500 x4

ρ = 3.9 Mg/m³
E above lowest polymorph = 0.34 eV/f.u.
formation energy from the elements = 328 meV per atom

=====

# 3
Compound: Ru2C3N6
Source: the Materials Project
Functional: PBE
Structure: relaxed

a b c (Å): 17.380 3.267 5.125
angles (deg): 90.00 90.40 90.00
Space group C2/m (No. 12)
Asymmetric unit:
Ru 0.177 0.000 0.081 x4
C 0.000 0.000 0.000 x2
C 0.182 0.500 0.584 x4
N 0.070 0.000 0.011 x4
N 0.168 0.500 0.352 x4
N 0.202 0.500 0.822 x4

ρ = 3.7 Mg/m³
E above lowest polymorph = 0.92 eV/f.u.
formation energy from the elements = 240 meV per atom

=====

# 4
Compound: Ru2C3N6
Source: the Materials Project
Functional: PBE
Structure: relaxed

a b c (Å): 9.509 5.333 10.142
angles (deg): 90.00 108.14 90.00
Space group C2/c (No. 15)
Asymmetric unit:
Ru 0.077 0.230 0.002 x8
C 0.000 0.435 0.250 x4
C 0.170 0.085 0.763 x8
N 0.024 0.438 0.377 x8
N 0.111 0.060 0.638 x8
N 0.219 0.121 0.890 x8

ρ = 4.4 Mg/m³
E above lowest polymorph = 0.00 eV/f.u.
formation energy from the elements = 156 meV per atom